Run one
This record from the Materials Project describes crystalline La6NbGa11O28 at its relaxed geometry. The functional is PBE.

As for the symmetry: P1, No. 1.

abc: 8.268 9.751 9.800
angles: 64.19 65.14 65.32
Element x y z (fractional)
La 0.000 0.000 0.000
La 0.001 0.503 0.495
La 0.424 0.076 0.074
La 0.432 0.578 0.566
La 0.844 0.287 0.286
La 0.864 0.783 0.786
Nb 0.427 0.789 0.786
Ga 0.091 0.864 0.388
Ga 0.098 0.352 0.881
Ga 0.185 0.059 0.529
Ga 0.202 0.519 0.040
Ga 0.418 0.292 0.288
Ga 0.418 0.651 0.166
Ga 0.433 0.160 0.642
Ga 0.670 0.413 0.915
Ga 0.672 0.919 0.408
Ga 0.754 0.220 0.689
Ga 0.763 0.716 0.182
O 0.083 0.032 0.207
O 0.091 0.531 0.708
O 0.116 0.359 0.062
O 0.117 0.875 0.562
O 0.204 0.974 0.741
O 0.209 0.496 0.236
O 0.265 0.262 0.524
O 0.281 0.678 0.366
O 0.287 0.785 0.012
O 0.289 0.168 0.855
O 0.340 0.108 0.322
O 0.340 0.607 0.825
O 0.480 0.322 0.050
O 0.510 0.797 0.557
O 0.564 0.442 0.223
O 0.568 0.298 0.591
O 0.572 0.942 0.716
O 0.573 0.787 0.091
O 0.628 0.128 0.387
O 0.648 0.629 0.864
O 0.737 0.909 0.205
O 0.738 0.409 0.708
O 0.759 0.048 0.867
O 0.762 0.548 0.364
O 0.884 0.281 0.979
O 0.885 0.786 0.478
O 0.956 0.209 0.510
O 0.977 0.697 0.011

---

Run two
This record from the Materials Project describes crystalline La6NbGa11O28 at its relaxed geometry. The functional is PBE.

As for the symmetry: P1, No. 1.

abc: 8.482 9.698 9.713
angles: 64.77 65.34 64.23
Element x y z (fractional)
La 0.000 0.000 0.000
La 0.003 0.519 0.500
La 0.410 0.224 0.225
La 0.435 0.731 0.704
La 0.540 0.924 0.948
La 0.570 0.433 0.438
Nb 0.993 0.735 0.723
Ga 0.004 0.201 0.197
Ga 0.061 0.086 0.507
Ga 0.245 0.344 0.865
Ga 0.273 0.815 0.328
Ga 0.321 0.165 0.623
Ga 0.395 0.624 0.125
Ga 0.637 0.323 0.823
Ga 0.651 0.795 0.317
Ga 0.748 0.460 0.943
Ga 0.752 0.997 0.460
Ga 0.929 0.549 0.111
O 0.088 0.734 0.495
O 0.109 0.903 0.674
O 0.139 0.370 0.120
O 0.142 0.176 0.989
O 0.156 0.228 0.503
O 0.207 0.819 0.145
O 0.209 0.038 0.306
O 0.213 0.571 0.799
O 0.283 0.357 0.649
O 0.320 0.469 0.303
O 0.328 0.977 0.782
O 0.435 0.741 0.460
O 0.488 0.209 0.875
O 0.511 0.692 0.211
O 0.517 0.416 0.997
O 0.532 0.166 0.450
O 0.559 0.679 0.921
O 0.636 0.975 0.142
O 0.665 0.470 0.626
O 0.697 0.814 0.484
O 0.770 0.919 0.676
O 0.798 0.416 0.133
O 0.850 0.604 0.295
O 0.852 0.262 0.872
O 0.859 0.204 0.432
O 0.871 0.740 0.952
O 0.879 0.055 0.243
O 0.906 0.560 0.758

---

Least stable structure: run two

---

Run one
This record from the Materials Project describes crystalline La3NdGa4O12 at its relaxed geometry. The functional is PBE.

As for the symmetry: C2, No. 5.

abc: 5.510 5.510 9.670
angles: 107.01 107.01 60.89
Element x y z (fractional)
La 0.000 0.000 0.000
La 0.250 0.249 0.749
La 0.751 0.750 0.251
Nd 0.502 0.498 0.500
Ga 0.126 0.124 0.376
Ga 0.376 0.374 0.126
Ga 0.626 0.624 0.874
Ga 0.876 0.874 0.624
O 0.287 0.713 0.287
O 0.287 0.713 0.713
O 0.320 0.183 0.252
O 0.433 0.567 0.000
O 0.467 0.032 0.966
O 0.467 0.033 0.534
O 0.786 0.214 0.216
O 0.786 0.214 0.784
O 0.817 0.680 0.748
O 0.926 0.074 0.500
O 0.967 0.533 0.466
O 0.968 0.533 0.034

---

Run two
This record from the Materials Project describes crystalline La3NdGa4O12 at its relaxed geometry. The functional is PBE.

As for the symmetry: Pm, No. 6.

abc: 5.556 7.860 5.557
angles: 90.00 90.10 90.00
Element x y z (fractional)
La 0.000 0.000 0.000
La 0.054 0.500 0.015
La 0.502 0.000 0.515
Nd 0.562 0.500 0.499
Ga 0.029 0.251 0.509
Ga 0.029 0.749 0.509
Ga 0.527 0.251 0.008
Ga 0.527 0.749 0.008
O 0.010 0.500 0.585
O 0.040 0.000 0.431
O 0.247 0.209 0.789
O 0.247 0.791 0.789
O 0.310 0.294 0.290
O 0.310 0.706 0.290
O 0.515 0.500 0.925
O 0.540 0.000 0.084
O 0.748 0.210 0.729
O 0.748 0.790 0.729
O 0.805 0.294 0.232
O 0.805 0.706 0.232

---

Least stable structure: run one